Tb2Te3 | r2SCAN | relaxed

a = 8.7790 Å, b = 12.3704 Å, c = 13.8342 Å
α = 90.00°, β = 108.48°, γ = 90.00°
Space group C2/c (No. 15)
Asymmetric unit:
Tb  0.0835  0.1248  0.4164 (multiplicity 8)
Tb  0.2491  0.3750  0.2481 (multiplicity 8)
Te  0.0795  0.1246  0.9151 (multiplicity 8)
Te  0.0850  0.3740  0.4150 (multiplicity 8)
Te  0.2492  0.1249  0.2498 (multiplicity 8)

Computed properties:
Formation energy from the elements   -1.69 eV per atom
Size of the total moment   0.00 Bohr magnetons per cell

---

TbUTe4 | r2SCAN | relaxed

a = 4.2667 Å, b = 6.1198 Å, c = 14.3551 Å
α = 90.00°, β = 90.00°, γ = 90.00°
Space group Imm2 (No. 44)
Asymmetric unit:
Tb  0.0000  0.0000  0.0000 (multiplicity 2)
U  0.0000  0.0000  0.2779 (multiplicity 2)
Te  0.0000  0.2515  0.6427 (multiplicity 4)
Te  0.0000  0.5000  0.3483 (multiplicity 2)
Te  0.0000  0.5000  0.9341 (multiplicity 2)

Computed properties:
Formation energy from the elements   -1.25 eV per atom
Size of the total moment   4.90 Bohr magnetons per cell

---

TbUTe3 | r2SCAN | relaxed

a = 11.8859 Å, b = 4.3703 Å, c = 12.1488 Å
α = 90.00°, β = 90.04°, γ = 90.00°
Space group Pm (No. 6)
Asymmetric unit:
Tb  0.0000  0.0000  0.0000 (multiplicity 1)
Tb  0.1251  0.0000  0.5002 (multiplicity 1)
Tb  0.5005  0.5000  0.4704 (multiplicity 1)
Tb  0.6261  0.5000  0.9696 (multiplicity 1)
U  0.3100  0.0000  0.1811 (multiplicity 1)
U  0.3159  0.5000  0.7899 (multiplicity 1)
U  0.8100  0.5000  0.2904 (multiplicity 1)
U  0.8167  0.0000  0.6836 (multiplicity 1)
Te  0.0119  0.0000  0.2587 (multiplicity 1)
Te  0.1139  0.0000  0.7584 (multiplicity 1)
Te  0.1853  0.5000  0.0277 (multiplicity 1)
Te  0.2582  0.5000  0.3699 (multiplicity 1)
Te  0.3683  0.0000  0.6011 (multiplicity 1)
Te  0.4409  0.0000  0.9431 (multiplicity 1)
Te  0.5123  0.5000  0.2120 (multiplicity 1)
Te  0.6155  0.5000  0.7118 (multiplicity 1)
Te  0.6851  0.0000  0.4438 (multiplicity 1)
Te  0.7578  0.0000  0.1008 (multiplicity 1)
Te  0.8690  0.5000  0.8701 (multiplicity 1)
Te  0.9413  0.5000  0.5290 (multiplicity 1)

Computed properties:
Formation energy from the elements   -1.42 eV per atom
Size of the total moment   5.98 Bohr magnetons per cell